No. 1
A plane-wave DFT calculation with meta-GGA r2SCAN was carried out for Te2OsCl12 after structural relaxation.

Output
Total moment, μB/atom: 0.13
ΔH_f (0 K), eV/atom: -0.595
Energy, eV/atom: -12.438

abc: 6.6070 7.0912 10.8356
angles: 71.20 76.75 63.73
Closest atoms and distances in Å follow each position.
Positions (direct):
1 Te 0.2473 0.2435 0.2589  3 Cl 2.33-2.34
2 Te 0.7527 0.7565 0.7411  3 Cl 2.33-2.34
3 Os 0.5000 0.5000 0.5000  6 Cl 2.32-2.35
4 Cl 0.0146 0.5886 0.1466  1 Te 2.33
5 Cl 0.0709 0.0690 0.1982  1 Te 2.34
6 Cl 0.1108 0.7046 0.5102  1 Os 2.32
7 Cl 0.4309 0.1829 0.5935  1 Os 2.35
8 Cl 0.4725 0.8092 0.9167  1 Te 2.33
9 Cl 0.4942 0.4774 0.2904  1 Os 2.34
10 Cl 0.5058 0.5226 0.7096  1 Os 2.34
11 Cl 0.5275 0.1908 0.0833  1 Te 2.33
12 Cl 0.5691 0.8171 0.4065  1 Os 2.35
13 Cl 0.8892 0.2954 0.4898  1 Os 2.32
14 Cl 0.9291 0.9310 0.8018  1 Te 2.34
15 Cl 0.9854 0.4114 0.8534  1 Te 2.33

No. 2
A plane-wave DFT calculation with meta-GGA r2SCAN was carried out for PCl5 after structural relaxation.

Output
Total moment, μB/atom: 0.00
ΔH_f (0 K), eV/atom: -0.647
Energy, eV/atom: -7.274

abc: 9.3884 9.3884 7.5007
angles: 90.00 90.00 90.00
Closest atoms and distances in Å follow each position.
Positions (direct):
1 P 0.2500 0.2500 0.1232  6 Cl 2.14-2.19
2 P 0.2500 0.7500 0.5000  4 Cl 1.94
3 P 0.7500 0.2500 0.5000  4 Cl 1.94
4 P 0.7500 0.7500 0.8768  6 Cl 2.14-2.19
5 Cl 0.0381 0.3375 0.1199  1 P 2.15
6 Cl 0.0876 0.7038 0.3504  1 P 1.94
7 Cl 0.1625 0.0381 0.1199  1 P 2.15
8 Cl 0.2038 0.9124 0.6496  1 P 1.94
9 Cl 0.2500 0.2500 0.4084  1 P 2.14
10 Cl 0.2500 0.2500 0.8314  1 P 2.19
11 Cl 0.2962 0.5876 0.6496  1 P 1.94
12 Cl 0.3375 0.4619 0.1199  1 P 2.15
13 Cl 0.4124 0.7962 0.3504  1 P 1.94
14 Cl 0.4619 0.1625 0.1199  1 P 2.15
15 Cl 0.5381 0.8375 0.8801  1 P 2.15
16 Cl 0.5876 0.2038 0.6496  1 P 1.94
17 Cl 0.6625 0.5381 0.8801  1 P 2.15
18 Cl 0.7038 0.4124 0.3504  1 P 1.94
19 Cl 0.7500 0.7500 0.1686  1 P 2.19
20 Cl 0.7500 0.7500 0.5916  1 P 2.14
21 Cl 0.7962 0.0876 0.3504  1 P 1.94
22 Cl 0.8375 0.9619 0.8801  1 P 2.15
23 Cl 0.9124 0.2962 0.6496  1 P 1.94
24 Cl 0.9619 0.6625 0.8801  1 P 2.15

> total moment of number 2 (PCl5)?

0.00 μB/atom

> What is the ΔH_f (0 K) in the first record?

-0.595 eV/atom